1.
Compound: CsMnVF6
Source: the Materials Project
Functional: r²SCAN
Structure: optimized geometry Values from VASP.

Summary:
Energy of formation ... -304.2 kJ/mol of atoms
Energy ... -11.22 eV/atom
Space group ... No. 74

Structure (Quantum ESPRESSO input):
```
&SYSTEM
  ibrav = 0, nat = 18, ntyp = 4
/
ATOMIC_SPECIES
Cs 132.91 Cs.upf
Mn 54.94 Mn.upf
V 50.94 V.upf
F 19.00 F.upf
ATOMIC_POSITIONS crystal
Cs 0.3757 0.1257 0.2500
Cs 0.6243 0.8743 0.7500
Mn 0.0000 0.0000 0.5000
Mn 0.0000 0.5000 0.0000
V 0.0000 0.5000 0.5000
V 0.5000 0.5000 0.0000
F 0.0785 0.4389 0.2713
F 0.0785 0.8072 0.6396
F 0.0825 0.8325 0.2500
F 0.3110 0.5610 0.7500
F 0.3324 0.1928 0.7713
F 0.3324 0.5611 0.1396
F 0.6676 0.4389 0.8604
F 0.6676 0.8072 0.2287
F 0.6890 0.4390 0.2500
F 0.9175 0.1675 0.7500
F 0.9215 0.1928 0.3604
F 0.9215 0.5611 0.7287
CELL_PARAMETERS angstrom
-3.7284 3.7661 5.2814
3.7284 -3.7661 5.2814
3.7284 3.7661 -5.2814
```



2.
Compound: Y5Bi3
Source: the Materials Project
Functional: r²SCAN
Structure: optimized geometry Values from VASP.

Summary:
Energy of formation ... -81.2 kJ/mol of atoms
Energy ... -35.48 eV/atom
Space group ... No. 62

Structure (Quantum ESPRESSO input):
```
&SYSTEM
  ibrav = 0, nat = 32, ntyp = 2
/
ATOMIC_SPECIES
Y 88.91 Y.upf
Bi 208.98 Bi.upf
ATOMIC_POSITIONS crystal
Y 0.0268 0.2500 0.0111
Y 0.1449 0.7500 0.2862
Y 0.1855 0.2500 0.2814
Y 0.1944 0.0622 0.5598
Y 0.1944 0.4378 0.5598
Y 0.3056 0.5622 0.0598
Y 0.3056 0.9378 0.0598
Y 0.3145 0.7500 0.7814
Y 0.3551 0.2500 0.7862
Y 0.4732 0.7500 0.5111
Y 0.5268 0.2500 0.4889
Y 0.6449 0.7500 0.2138
Y 0.6855 0.2500 0.2186
Y 0.6944 0.0622 0.9402
Y 0.6944 0.4378 0.9402
Y 0.8056 0.5622 0.4402
Y 0.8056 0.9378 0.4402
Y 0.8145 0.7500 0.7186
Y 0.8551 0.2500 0.7138
Y 0.9732 0.7500 0.9889
Bi 0.0662 0.0040 0.8265
Bi 0.0662 0.4960 0.8265
Bi 0.0891 0.7500 0.5413
Bi 0.4109 0.2500 0.0413
Bi 0.4338 0.5040 0.3265
Bi 0.4338 0.9960 0.3265
Bi 0.5662 0.0040 0.6735
Bi 0.5662 0.4960 0.6735
Bi 0.5891 0.7500 0.9587
Bi 0.9109 0.2500 0.4587
Bi 0.9338 0.5040 0.1735
Bi 0.9338 0.9960 0.1735
CELL_PARAMETERS angstrom
8.2742 0.0000 0.0000
0.0000 9.4901 0.0000
0.0000 0.0000 12.1077
```



3.
Compound: TiH2
Source: the Materials Project
Functional: r²SCAN
Structure: optimized geometry Values from VASP.

Summary:
Energy of formation ... -51.5 kJ/mol of atoms
Energy ... -7.15 eV/atom
Space group ... No. 139

Structure (Quantum ESPRESSO input):
```
&SYSTEM
  ibrav = 0, nat = 6, ntyp = 2
/
ATOMIC_SPECIES
Ti 47.87 Ti.upf
H 1.01 H.upf
ATOMIC_POSITIONS crystal
Ti 0.0000 0.0000 0.0000
Ti 0.5000 0.5000 0.5000
H 0.0000 0.5000 0.2500
H 0.0000 0.5000 0.7500
H 0.5000 0.0000 0.2500
H 0.5000 0.0000 0.7500
CELL_PARAMETERS angstrom
3.2019 0.0000 0.0000
0.0000 3.2019 0.0000
0.0000 0.0000 4.1678
```



4.
Compound: P
Source: the Materials Project
Functional: r²SCAN
Structure: optimized geometry Values from VASP.

Summary:
Energy of formation ... 0.0 kJ/mol of atoms
Energy ... -9.00 eV/atom
Space group ... No. 13
Energy relative to the lowest polymorph listed for this composition ... 0 meV/atom

Structure (Quantum ESPRESSO input):
```
&SYSTEM
  ibrav = 0, nat = 84, ntyp = 1
/
ATOMIC_SPECIES
P 30.97 P.upf
ATOMIC_POSITIONS crystal
P 0.0006 0.1624 0.4493
P 0.0006 0.8376 0.9493
P 0.0440 0.3911 0.0781
P 0.0440 0.6089 0.5781
P 0.0464 0.0535 0.6784
P 0.0464 0.9465 0.1784
P 0.0510 0.3158 0.2971
P 0.0510 0.6842 0.7971
P 0.0772 0.2165 0.8830
P 0.0772 0.7835 0.3830
P 0.1392 0.0992 0.3255
P 0.1392 0.9008 0.8255
P 0.1449 0.3840 0.1734
P 0.1449 0.6160 0.6734
P 0.1717 0.0343 0.1178
P 0.1717 0.9657 0.6178
P 0.2097 0.1384 0.4210
P 0.2097 0.8616 0.9210
P 0.2109 0.3215 0.8302
P 0.2109 0.6785 0.3302
P 0.2479 0.0865 0.9509
P 0.2479 0.9135 0.4509
P 0.2494 0.4061 0.0485
P 0.2494 0.5939 0.5485
P 0.2990 0.2000 0.1787
P 0.2990 0.8000 0.6787
P 0.3091 0.3652 0.5668
P 0.3091 0.6348 0.0668
P 0.3152 0.4855 0.8957
P 0.3152 0.5145 0.3957
P 0.4096 0.1786 0.8350
P 0.4096 0.8214 0.3350
P 0.4149 0.3545 0.6634
P 0.4149 0.6455 0.1634
P 0.4223 0.2803 0.1168
P 0.4223 0.7197 0.6168
P 0.4388 0.4505 0.3314
P 0.4388 0.5495 0.8314
P 0.4620 0.1323 0.9311
P 0.4620 0.8677 0.4311
P 0.4866 0.3561 0.9647
P 0.4866 0.6439 0.4647
P 0.5134 0.3561 0.5353
P 0.5134 0.6439 0.0353
P 0.5380 0.1323 0.5689
P 0.5380 0.8677 0.0689
P 0.5612 0.4505 0.1686
P 0.5612 0.5495 0.6686
P 0.5777 0.2803 0.3832
P 0.5777 0.7197 0.8832
P 0.5851 0.3545 0.8366
P 0.5851 0.6455 0.3366
P 0.5904 0.1786 0.6650
P 0.5904 0.8214 0.1650
P 0.6848 0.4855 0.6043
P 0.6848 0.5145 0.1043
P 0.6909 0.3652 0.9332
P 0.6909 0.6348 0.4332
P 0.7010 0.2000 0.3213
P 0.7010 0.8000 0.8213
P 0.7506 0.4061 0.4515
P 0.7506 0.5939 0.9515
P 0.7521 0.0865 0.5491
P 0.7521 0.9135 0.0491
P 0.7891 0.3215 0.6698
P 0.7891 0.6785 0.1698
P 0.7903 0.1384 0.0790
P 0.7903 0.8616 0.5790
P 0.8283 0.0343 0.3822
P 0.8283 0.9657 0.8822
P 0.8551 0.3840 0.3266
P 0.8551 0.6160 0.8266
P 0.8608 0.0992 0.1745
P 0.8608 0.9008 0.6745
P 0.9228 0.2165 0.6170
P 0.9228 0.7835 0.1170
P 0.9490 0.3158 0.2029
P 0.9490 0.6842 0.7029
P 0.9536 0.0535 0.8216
P 0.9536 0.9465 0.3216
P 0.9560 0.3911 0.4219
P 0.9560 0.6089 0.9219
P 0.9994 0.1624 0.0507
P 0.9994 0.8376 0.5507
CELL_PARAMETERS angstrom
9.2409 0.0000 0.0000
0.0000 9.2088 0.0000
-6.0513 0.0000 22.7399
```



5.
Compound: PrSBr
Source: the Materials Project
Functional: r²SCAN
Structure: optimized geometry Values from VASP.

Summary:
Energy of formation ... -223.0 kJ/mol of atoms
Energy ... -19.21 eV/atom
Space group ... No. 14

Structure (Quantum ESPRESSO input):
```
&SYSTEM
  ibrav = 0, nat = 12, ntyp = 3
/
ATOMIC_SPECIES
Pr 140.91 Pr.upf
S 32.06 S.upf
Br 79.90 Br.upf
ATOMIC_POSITIONS crystal
Pr 0.1821 0.0350 0.2897
Pr 0.1821 0.4650 0.7897
Pr 0.8179 0.5350 0.2103
Pr 0.8179 0.9650 0.7103
S 0.0524 0.7411 0.5082
S 0.0524 0.7589 0.0082
S 0.9476 0.2411 0.9918
S 0.9476 0.2589 0.4918
Br 0.4154 0.1157 0.7107
Br 0.4154 0.3843 0.2107
Br 0.5846 0.6157 0.7893
Br 0.5846 0.8843 0.2893
CELL_PARAMETERS angstrom
7.0846 0.0000 0.0000
0.0000 7.1479 0.0000
-1.1730 0.0000 6.9210
```



6.
Compound: Na2MnN2
Source: the Materials Project
Functional: r²SCAN
Structure: optimized geometry Values from VASP.

Summary:
Energy of formation ... -29.8 kJ/mol of atoms
Energy ... -8.32 eV/atom
Space group ... No. 62

Structure (Quantum ESPRESSO input):
```
&SYSTEM
  ibrav = 0, nat = 20, ntyp = 3
/
ATOMIC_SPECIES
Na 22.99 Na.upf
Mn 54.94 Mn.upf
N 14.01 N.upf
ATOMIC_POSITIONS crystal
Na 0.0767 0.2500 0.1805
Na 0.1800 0.2500 0.5363
Na 0.3200 0.7500 0.0363
Na 0.4233 0.7500 0.6805
Na 0.5767 0.2500 0.3195
Na 0.6800 0.2500 0.9637
Na 0.8200 0.7500 0.4637
Na 0.9233 0.7500 0.8195
Mn 0.2270 0.2500 0.8309
Mn 0.2730 0.7500 0.3309
Mn 0.7270 0.2500 0.6691
Mn 0.7730 0.7500 0.1691
N 0.0430 0.7500 0.2308
N 0.2339 0.7500 0.4824
N 0.2661 0.2500 0.9824
N 0.4570 0.2500 0.7308
N 0.5430 0.7500 0.2692
N 0.7339 0.7500 0.0176
N 0.7661 0.2500 0.5176
N 0.9570 0.2500 0.7692
CELL_PARAMETERS angstrom
5.9970 0.0000 0.0000
0.0000 4.8001 0.0000
0.0000 0.0000 10.4780
```



7.
Compound: LiPt
Source: the Materials Project
Functional: r²SCAN
Structure: optimized geometry Values from VASP.

Summary:
Energy of formation ... -63.2 kJ/mol of atoms
Energy ... -27.59 eV/atom
Space group ... No. 187

Structure (Quantum ESPRESSO input):
```
&SYSTEM
  ibrav = 0, nat = 2, ntyp = 2
/
ATOMIC_SPECIES
Li 6.94 Li.upf
Pt 195.08 Pt.upf
ATOMIC_POSITIONS crystal
Li 0.0000 0.0000 0.0000
Pt 0.6667 0.3333 0.5000
CELL_PARAMETERS angstrom
2.7463 0.0000 0.0000
-1.3731 2.3783 0.0000
0.0000 0.0000 4.1705
```



8.
Compound: LiMg5
Source: the Materials Project
Functional: r²SCAN
Structure: optimized geometry Values from VASP.

Summary:
Energy of formation ... -1.0 kJ/mol of atoms
Energy ... -3.88 eV/atom
Space group ... No. 187
Energy relative to the lowest polymorph listed for this composition ... 5 meV/atom

Structure (Quantum ESPRESSO input):
```
&SYSTEM
  ibrav = 0, nat = 6, ntyp = 2
/
ATOMIC_SPECIES
Li 6.94 Li.upf
Mg 24.30 Mg.upf
ATOMIC_POSITIONS crystal
Li 0.0000 0.0000 0.0000
Mg 0.0000 0.0000 0.3322
Mg 0.0000 0.0000 0.6678
Mg 0.3333 0.6667 0.1637
Mg 0.3333 0.6667 0.5000
Mg 0.3333 0.6667 0.8363
CELL_PARAMETERS angstrom
3.1729 0.0000 0.0000
-1.5864 2.7478 0.0000
0.0000 0.0000 15.1187
```



9.
Compound: DyCu5
Source: the Materials Project
Functional: r²SCAN
Structure: optimized geometry Values from VASP.

Summary:
Energy of formation ... -19.7 kJ/mol of atoms
Energy ... -14.57 eV/atom
Space group ... No. 191

Structure (Quantum ESPRESSO input):
```
&SYSTEM
  ibrav = 0, nat = 6, ntyp = 2
/
ATOMIC_SPECIES
Dy 162.50 Dy.upf
Cu 63.55 Cu.upf
ATOMIC_POSITIONS crystal
Dy 0.0000 0.0000 0.0000
Cu 0.0000 0.5000 0.5000
Cu 0.3333 0.6667 0.0000
Cu 0.5000 0.0000 0.5000
Cu 0.5000 0.5000 0.5000
Cu 0.6667 0.3333 0.0000
CELL_PARAMETERS angstrom
4.9724 0.0000 0.0000
-2.4862 4.3062 0.0000
0.0000 0.0000 4.0471
```



10.
Compound: ZrAlPt
Source: the Materials Project
Functional: r²SCAN
Structure: optimized geometry Values from VASP.

Summary:
Energy of formation ... -112.0 kJ/mol of atoms
Energy ... -28.15 eV/atom
Space group ... No. 190

Structure (Quantum ESPRESSO input):
```
&SYSTEM
  ibrav = 0, nat = 18, ntyp = 3
/
ATOMIC_SPECIES
Zr 91.22 Zr.upf
Al 26.98 Al.upf
Pt 195.08 Pt.upf
ATOMIC_POSITIONS crystal
Zr 0.0162 0.6022 0.2500
Zr 0.3978 0.4140 0.2500
Zr 0.4140 0.3978 0.7500
Zr 0.5860 0.9838 0.2500
Zr 0.6022 0.0162 0.7500
Zr 0.9838 0.5860 0.7500
Al 0.0000 0.2542 0.0000
Al 0.0000 0.2542 0.5000
Al 0.2542 0.0000 0.0000
Al 0.2542 0.0000 0.5000
Al 0.7458 0.7458 0.0000
Al 0.7458 0.7458 0.5000
Pt 0.0000 0.0000 0.2500
Pt 0.0000 0.0000 0.7500
Pt 0.3333 0.6667 0.5224
Pt 0.3333 0.6667 0.9776
Pt 0.6667 0.3333 0.0224
Pt 0.6667 0.3333 0.4776
CELL_PARAMETERS angstrom
7.0399 0.0000 0.0000
-3.5200 6.0967 0.0000
0.0000 0.0000 7.4346
```



11.
Compound: NiTe2Pd2
Source: the Materials Project
Functional: r²SCAN
Structure: optimized geometry Values from VASP.

Summary:
Energy of formation ... -28.8 kJ/mol of atoms
Energy ... -22.05 eV/atom
Space group ... No. 72

Structure (Quantum ESPRESSO input):
```
&SYSTEM
  ibrav = 0, nat = 10, ntyp = 3
/
ATOMIC_SPECIES
Ni 58.69 Ni.upf
Te 127.60 Te.upf
Pd 106.42 Pd.upf
ATOMIC_POSITIONS crystal
Ni 0.2500 0.2500 0.0000
Ni 0.7500 0.7500 0.0000
Te 0.1443 0.2211 0.3653
Te 0.3557 0.7211 0.0768
Te 0.6443 0.2789 0.9232
Te 0.8557 0.7789 0.6347
Pd 0.1051 0.6314 0.7364
Pd 0.3949 0.1314 0.5263
Pd 0.6051 0.8686 0.4737
Pd 0.8949 0.3686 0.2636
CELL_PARAMETERS angstrom
-3.1832 5.7249 2.5615
3.1832 -5.7249 2.5615
3.1832 5.7249 -2.5615
```



12.
Compound: SiO2
Source: the Materials Project
Functional: r²SCAN
Structure: optimized geometry Values from VASP.

Summary:
Energy of formation ... -290.7 kJ/mol of atoms
Energy ... -9.92 eV/atom
Space group ... No. 64

Structure (Quantum ESPRESSO input):
```
&SYSTEM
  ibrav = 0, nat = 72, ntyp = 2
/
ATOMIC_SPECIES
Si 28.09 Si.upf
O 16.00 O.upf
ATOMIC_POSITIONS crystal
Si 0.0160 0.1566 0.1283
Si 0.0467 0.5591 0.8699
Si 0.0591 0.5467 0.3699
Si 0.1437 0.2132 0.6577
Si 0.1566 0.0160 0.8717
Si 0.2132 0.1437 0.3423
Si 0.2868 0.3563 0.8423
Si 0.3434 0.4840 0.3717
Si 0.3563 0.2868 0.1577
Si 0.4409 0.9533 0.8699
Si 0.4533 0.9409 0.3699
Si 0.4840 0.3434 0.6283
Si 0.5160 0.6566 0.3717
Si 0.5467 0.0591 0.6301
Si 0.5591 0.0467 0.1301
Si 0.6437 0.7132 0.8423
Si 0.6566 0.5160 0.6283
Si 0.7132 0.6437 0.1577
Si 0.7868 0.8563 0.6577
Si 0.8434 0.9840 0.1283
Si 0.8563 0.7868 0.3423
Si 0.9409 0.4533 0.6301
Si 0.9533 0.4409 0.1301
Si 0.9840 0.8434 0.8717
O 0.0000 0.5000 0.0000
O 0.0000 0.5000 0.5000
O 0.0131 0.3138 0.6632
O 0.0402 0.6995 0.8939
O 0.0460 0.4540 0.2500
O 0.0888 0.1302 0.2731
O 0.0938 0.9062 0.8671
O 0.1049 0.1049 0.0000
O 0.1302 0.0888 0.7269
O 0.1862 0.4869 0.8368
O 0.1899 0.1899 0.5000
O 0.1995 0.5402 0.3939
O 0.2394 0.2606 0.7500
O 0.2606 0.2394 0.2500
O 0.3005 0.9598 0.8939
O 0.3101 0.3101 0.0000
O 0.3138 0.0131 0.3368
O 0.3698 0.4112 0.2269
O 0.3951 0.3951 0.5000
O 0.4062 0.5938 0.3671
O 0.4112 0.3698 0.7731
O 0.4540 0.0460 0.7500
O 0.4598 0.8005 0.3939
O 0.4869 0.1862 0.1632
O 0.5000 0.0000 0.0000
O 0.5000 0.0000 0.5000
O 0.5131 0.8138 0.8368
O 0.5402 0.1995 0.6061
O 0.5460 0.9540 0.2500
O 0.5888 0.6302 0.2269
O 0.5938 0.4062 0.6329
O 0.6049 0.6049 0.5000
O 0.6302 0.5888 0.7731
O 0.6862 0.9869 0.6632
O 0.6899 0.6899 0.0000
O 0.6995 0.0402 0.1061
O 0.7394 0.7606 0.7500
O 0.7606 0.7394 0.2500
O 0.8005 0.4598 0.6061
O 0.8101 0.8101 0.5000
O 0.8138 0.5131 0.1632
O 0.8698 0.9112 0.2731
O 0.8951 0.8951 0.0000
O 0.9062 0.0938 0.1329
O 0.9112 0.8698 0.7269
O 0.9540 0.5460 0.7500
O 0.9598 0.3005 0.1061
O 0.9869 0.6862 0.3368
CELL_PARAMETERS angstrom
9.0912 -6.8911 0.0000
9.0912 6.8911 0.0000
0.0000 0.0000 9.7157
```